No. 1
Entry from Materials Project: crystalline Ga at its relaxed geometry (r²SCAN).

Values from the calculation:
DFT formation energy, meV/atom: 82
Distance to the lowest polymorph of the same formula, eV/atom: 0.0820

The structure in CIF format:
```
data_Ga
_space_group_name_H-M_alt 'C m c m'
_space_group_IT_number 63
_space_group_name_Hall '-C 2c 2'
_cell_length_a 10.573
_cell_length_b 13.519
_cell_length_c 5.111
_cell_angle_alpha 90.00
_cell_angle_beta 90.00
_cell_angle_gamma 90.00
loop_
_atom_site_label
_atom_site_type_symbol
_atom_site_fract_x
_atom_site_fract_y
_atom_site_fract_z
Ga1 Ga 0.000 0.011 0.250
Ga2 Ga 0.000 0.216 0.250
Ga3 Ga 0.000 0.395 0.000
Ga4 Ga 0.126 0.211 0.750
Ga5 Ga 0.226 0.138 0.250
Ga6 Ga 0.227 0.447 0.250
```

No. 2
Entry from Materials Project: crystalline YSnF7 at its relaxed geometry (r²SCAN).

Values from the calculation:
DFT formation energy, meV/atom: -3483
Distance to the lowest polymorph of the same formula, eV/atom: 0.0000

The structure in CIF format:
```
data_YSnF7
_space_group_name_H-M_alt 'P 1 21/c 1'
_space_group_IT_number 14
_space_group_name_Hall '-P 2ybc'
_cell_length_a 8.870
_cell_length_b 5.555
_cell_length_c 11.963
_cell_angle_alpha 90.00
_cell_angle_beta 117.67
_cell_angle_gamma 90.00
loop_
_atom_site_label
_atom_site_type_symbol
_atom_site_fract_x
_atom_site_fract_y
_atom_site_fract_z
Y1 Y 0.186 0.242 0.265
Sn1 Sn 0.272 0.744 0.043
F1 F 0.022 0.740 0.946
F2 F 0.034 0.589 0.733
F3 F 0.255 0.547 0.175
F4 F 0.272 0.028 0.142
F5 F 0.280 0.056 0.456
F6 F 0.290 0.549 0.416
F7 F 0.478 0.228 0.359
```

No. 3
Entry from Materials Project: crystalline YbPO4 at its relaxed geometry (r²SCAN).

Values from the calculation:
DFT formation energy, meV/atom: -3290

The structure in CIF format:
```
data_YbPO4
_space_group_name_H-M_alt 'I 41/a'
_space_group_IT_number 88
_cell_length_a 4.747
_cell_length_b 4.747
_cell_length_c 10.935
_cell_angle_alpha 90.00
_cell_angle_beta 90.00
_cell_angle_gamma 90.00
loop_
_space_group_symop_operation_xyz
'x,y,z'
'-x,-y,-z'
'-y+3/4,x+1/4,z+1/4'
'y+3/4,-x+1/4,-z+1/4'
'-x+1/2,-y,z+1/2'
'x+1/2,y,-z+1/2'
'y+3/4,-x+3/4,z+3/4'
'-y+3/4,x+3/4,-z+3/4'
'x+1/2,y+1/2,z+1/2'
'-x+1/2,-y+1/2,-z+1/2'
'-y+1/4,x+3/4,z+3/4'
'y+1/4,-x+3/4,-z+3/4'
'-x,-y+1/2,z'
'x,y+1/2,-z'
'y+1/4,-x+1/4,z+1/4'
'-y+1/4,x+1/4,-z+1/4'
loop_
_atom_site_label
_atom_site_type_symbol
_atom_site_fract_x
_atom_site_fract_y
_atom_site_fract_z
Yb1 Yb 0.000 0.250 0.125
P1 P 0.000 0.250 0.625
O1 O 0.130 0.006 0.700
```